# PBE with a Hubbard U La6WO12, optimized geometry
data_La6WO12
_chemical_formula_sum 'La18 W3 O36'
_cell_length_a 10.3923
_cell_length_b 10.3923
_cell_length_c 9.9947
_cell_angle_alpha 90.00
_cell_angle_beta 90.00
_cell_angle_gamma 120.00
_symmetry_space_group_name_H-M 'R -3'
_symmetry_Int_Tables_number 148
_symmetry_space_group_name_Hall '-R 3'
loop_
_atom_site_label
_atom_site_type_symbol
_atom_site_fract_x
_atom_site_fract_y
_atom_site_fract_z
_atom_site_occupancy
La1 La 0.0463 0.7912 0.1482 1
W1 W 0.0000 0.0000 0.5000 1
O1 O 0.0359 0.8093 0.9034 1
O2 O 0.0388 0.8621 0.3925 1
# calculated total energy	-8.32	eV/atom
# energy of formation	-3623	meV/atom

# PBE with a Hubbard U Li3V4P9O32, optimized geometry
data_Li3V4P9O32
_chemical_formula_sum 'Li6 V8 P18 O64'
_cell_length_a 13.7777
_cell_length_b 13.7777
_cell_length_c 6.3455
_cell_angle_alpha 90.00
_cell_angle_beta 90.00
_cell_angle_gamma 90.00
_symmetry_space_group_name_H-M 'P -4 21 c'
_symmetry_Int_Tables_number 114
loop_
_symmetry_equiv_pos_as_xyz
'x,y,z'
'y,-x,-z'
'-x,-y,z'
'-y,x,-z'
'x+1/2,-y+1/2,-z+1/2'
'y+1/2,x+1/2,z+1/2'
'-x+1/2,y+1/2,-z+1/2'
'-y+1/2,-x+1/2,z+1/2'
loop_
_atom_site_label
_atom_site_type_symbol
_atom_site_fract_x
_atom_site_fract_y
_atom_site_fract_z
_atom_site_occupancy
Li1 Li 0.0000 0.0000 0.0000 1
Li2 Li 0.0000 0.5000 0.1419 1
V1 V 0.1182 0.1964 0.6222 1
P1 P 0.0000 0.0000 0.5000 1
P2 P 0.0599 0.6957 0.3879 1
P3 P 0.1059 0.2466 0.1323 1
O1 O 0.0051 0.7224 0.1696 1
O2 O 0.0052 0.7492 0.5691 1
O3 O 0.0592 0.5872 0.4080 1
O4 O 0.0626 0.0637 0.6493 1
O5 O 0.1023 0.1885 0.9281 1
O6 O 0.1333 0.1802 0.3160 1
O7 O 0.1594 0.7458 0.3618 1
O8 O 0.1601 0.3350 0.6182 1
# calculated total energy	-7.21	eV/atom
# energy of formation	-2619	meV/atom

# PBE with a Hubbard U MgFe2Ni4O8, optimized geometry
data_MgFe2Ni4O8
_chemical_formula_sum 'Mg4 Fe8 Ni16 O32'
_cell_length_a 8.8380
_cell_length_b 8.8380
_cell_length_c 8.8380
_cell_angle_alpha 90.00
_cell_angle_beta 90.00
_cell_angle_gamma 90.00
_symmetry_space_group_name_H-M 'F -4 3 m'
_symmetry_Int_Tables_number 216
_symmetry_space_group_name_Hall 'F -4 2 3'
loop_
_atom_site_label
_atom_site_type_symbol
_atom_site_fract_x
_atom_site_fract_y
_atom_site_fract_z
_atom_site_occupancy
Mg1 Mg 0.0000 0.0000 0.0000 1
Fe1 Fe 0.0000 0.0000 0.5000 1
Fe2 Fe 0.2500 0.2500 0.2500 1
Ni1 Ni 0.1436 0.1436 0.8564 1
O1 O 0.1228 0.1228 0.1228 1
O2 O 0.1288 0.1288 0.6288 1
# calculated total energy	-5.14	eV/atom
# energy of formation	-1068	meV/atom

# PBE with a Hubbard U BaNi2P2O8, optimized geometry
data_BaNi2P2O8
_chemical_formula_sum 'Ba3 Ni6 P6 O24'
_cell_length_a 4.8525
_cell_length_b 4.8525
_cell_length_c 23.7746
_cell_angle_alpha 90.00
_cell_angle_beta 90.00
_cell_angle_gamma 120.00
_symmetry_space_group_name_H-M 'R -3'
_symmetry_Int_Tables_number 148
_symmetry_space_group_name_Hall '-R 3'
loop_
_atom_site_label
_atom_site_type_symbol
_atom_site_fract_x
_atom_site_fract_y
_atom_site_fract_z
_atom_site_occupancy
Ba1 Ba 0.0000 0.0000 0.0000 1
Ni1 Ni 0.0000 0.0000 0.1688 1
P1 P 0.0000 0.0000 0.4276 1
O1 O 0.0000 0.0000 0.3633 1
O2 O 0.0087 0.3111 0.5513 1
# calculated total energy	-6.64	eV/atom
# energy of formation	-2538	meV/atom

# PBE with a Hubbard U Li2Ti3MnO8, optimized geometry
data_Li2Ti3MnO8
_chemical_formula_sum 'Li8 Ti12 Mn4 O32'
_cell_length_a 8.5266
_cell_length_b 8.5266
_cell_length_c 8.5266
_cell_angle_alpha 90.00
_cell_angle_beta 90.00
_cell_angle_gamma 90.00
_symmetry_space_group_name_H-M 'P 21 3'
_symmetry_Int_Tables_number 198
_symmetry_space_group_name_Hall 'P 2ac 2ab 3'
loop_
_atom_site_label
_atom_site_type_symbol
_atom_site_fract_x
_atom_site_fract_y
_atom_site_fract_z
_atom_site_occupancy
Li1 Li 0.1263 0.1263 0.1263 1
Li2 Li 0.2473 0.2527 0.7473 1
Ti1 Ti 0.1170 0.3778 0.3715 1
Mn1 Mn 0.0014 0.5014 0.9986 1
O1 O 0.1034 0.8712 0.1075 1
O2 O 0.1113 0.3887 0.6113 1
O3 O 0.1237 0.8529 0.6425 1
O4 O 0.1394 0.6394 0.8606 1
# calculated total energy	-8.03	eV/atom
# energy of formation	-3090	meV/atom

# PBE with a Hubbard U NaMn2FeAgP3O12, optimized geometry
data_NaMn2FeAgP3O12
_chemical_formula_sum 'Na4 Mn8 Fe4 Ag4 P12 O48'
_cell_length_a 12.2175
_cell_length_b 12.8588
_cell_length_c 6.5926
_cell_angle_alpha 90.00
_cell_angle_beta 114.39
_cell_angle_gamma 90.00
_symmetry_space_group_name_H-M 'C 1 2 1'
_symmetry_Int_Tables_number 5
loop_
_symmetry_equiv_pos_as_xyz
'x,y,z'
'-x,y,-z'
'x+1/2,y+1/2,z'
'-x+1/2,y+1/2,-z'
loop_
_atom_site_label
_atom_site_type_symbol
_atom_site_fract_x
_atom_site_fract_y
_atom_site_fract_z
_atom_site_occupancy
Na1 Na 0.0001 0.0000 0.2488 1
Mn1 Mn 0.0000 0.2296 0.5000 1
Mn2 Mn 0.0000 0.7653 0.0000 1
Mn3 Mn 0.2201 0.6534 0.8876 1
Fe1 Fe 0.2226 0.3407 0.3832 1
Ag1 Ag 0.0000 0.4893 0.0000 1
Ag2 Ag 0.0000 0.5141 0.5000 1
P1 P 0.0000 0.2140 0.0000 1
P2 P 0.0000 0.7878 0.5000 1
P3 P 0.2376 0.3889 0.8792 1
P4 P 0.2395 0.6089 0.3810 1
O1 O 0.0390 0.7192 0.7116 1
O2 O 0.0503 0.2862 0.2145 1
O3 O 0.0936 0.1429 0.9736 1
O4 O 0.1015 0.8627 0.5029 1
O5 O 0.1272 0.0995 0.5755 1
O6 O 0.1285 0.9014 0.0690 1
O7 O 0.1600 0.6588 0.1517 1
O8 O 0.1689 0.4938 0.8549 1
O9 O 0.1724 0.3299 0.6495 1
O10 O 0.1858 0.4969 0.3814 1
O11 O 0.2239 0.3265 0.0704 1
O12 O 0.2289 0.6789 0.5660 1
# calculated total energy	-6.98	eV/atom
# energy of formation	-2344	meV/atom